(1)
DFT (PBE-GGA) results for crystalline Ga2P3H11O13 at its relaxed geometry.

Properties
The crystal system is monoclinic.

Cell lengths 10.145, 7.776, 8.187 Å; angles 68.59, 90.00, 90.00 degrees
Sites, in units of the cell vectors:
Ga 0.850 0.065 0.975
Ga 0.350 0.935 0.025
Ga 0.578 0.589 0.624
Ga 0.078 0.411 0.376
P 0.877 0.457 0.655
P 0.377 0.543 0.345
P 0.575 0.251 0.007
P 0.075 0.749 0.993
P 0.130 0.223 0.079
P 0.630 0.777 0.921
H 0.892 0.527 0.790
H 0.392 0.473 0.210
H 0.544 0.380 0.084
H 0.044 0.620 0.916
H 0.179 0.346 0.917
H 0.679 0.654 0.083
H 0.907 0.763 0.246
H 0.407 0.237 0.754
H 0.268 0.165 0.697
H 0.768 0.835 0.303
H 0.529 0.888 0.332
H 0.029 0.112 0.668
H 0.613 0.958 0.461
H 0.113 0.042 0.539
H 0.320 0.732 0.601
H 0.820 0.268 0.399
H 0.397 0.720 0.777
H 0.897 0.280 0.223
H 0.689 0.111 0.633
H 0.189 0.889 0.367
H 0.611 0.263 0.486
H 0.111 0.737 0.514
O 0.869 0.245 0.735
O 0.369 0.755 0.265
O 0.980 0.202 0.063
O 0.480 0.798 0.937
O 0.721 0.206 0.054
O 0.221 0.794 0.946
O 0.705 0.959 0.878
O 0.205 0.041 0.122
O 0.983 0.916 0.909
O 0.483 0.084 0.091
O 0.843 0.867 0.222
O 0.343 0.133 0.778
O 0.753 0.544 0.551
O 0.253 0.456 0.449
O 0.548 0.342 0.808
O 0.048 0.658 0.192
O 0.158 0.311 0.215
O 0.658 0.689 0.785
O 0.502 0.483 0.460
O 0.002 0.517 0.540
O 0.599 0.851 0.423
O 0.099 0.149 0.577
O 0.393 0.669 0.682
O 0.893 0.331 0.318
O 0.669 0.156 0.505
O 0.169 0.844 0.495

(2)
DFT (PBE-GGA) results for crystalline Hg at its relaxed geometry.

Properties
The crystal system is hexagonal.

Cell lengths 3.291, 5.560, 5.560 Å; angles 120.00, 90.00, 90.00 degrees
Sites, in units of the cell vectors:
Hg 0.500 0.333 0.667
Hg 0.500 0.667 0.333
Hg 0.000 0.000 0.000

(3)
DFT (PBE-GGA) results for crystalline Dy2CdPd2 at its relaxed geometry.

Properties
The crystal system is tetragonal.

Cell lengths 7.709, 7.709, 3.755 Å; angles 90.00, 90.00, 90.00 degrees
Sites, in units of the cell vectors:
Dy 0.328 0.828 0.500
Dy 0.828 0.672 0.500
Dy 0.172 0.328 0.500
Dy 0.672 0.172 0.500
Cd 0.000 0.000 0.000
Cd 0.500 0.500 0.000
Pd 0.371 0.129 0.000
Pd 0.871 0.371 0.000
Pd 0.129 0.629 0.000
Pd 0.629 0.871 0.000

(4)
DFT (PBE-GGA) results for crystalline Er3Co2Ge4 at its relaxed geometry.

Properties
The crystal system is monoclinic.

Cell lengths 5.678, 5.678, 7.990 Å; angles 73.65, 73.65, 43.13 degrees
Sites, in units of the cell vectors:
Er 0.376 0.376 0.693
Er 0.624 0.624 0.307
Er 0.000 0.000 0.000
Co 0.310 0.310 0.370
Co 0.690 0.690 0.630
Ge 0.097 0.097 0.600
Ge 0.903 0.903 0.400
Ge 0.710 0.710 0.920
Ge 0.290 0.290 0.080

(5)
DFT (PBE-GGA) results for crystalline MgAgF5 at its relaxed geometry.

Properties
The crystal system is monoclinic.

Cell lengths 5.500, 5.500, 8.466 Å; angles 66.58, 66.58, 69.43 degrees
Sites, in units of the cell vectors:
Mg 0.511 0.489 0.750
Mg 0.489 0.511 0.250
Ag 0.000 0.000 0.000
Ag 0.000 0.000 0.500
F 0.181 0.819 0.250
F 0.819 0.181 0.750
F 0.228 0.268 0.367
F 0.732 0.772 0.133
F 0.702 0.326 0.061
F 0.674 0.298 0.439
F 0.298 0.674 0.939
F 0.326 0.702 0.561
F 0.268 0.228 0.867
F 0.772 0.732 0.633

(6)
DFT (PBE-GGA) results for crystalline AcMg3 at its relaxed geometry.

Properties
The crystal system is cubic.

Cell lengths 5.457, 5.457, 5.457 Å; angles 60.00, 60.00, 60.00 degrees
Sites, in units of the cell vectors:
Ac 0.000 0.000 0.000
Mg 0.500 0.500 0.500
Mg 0.750 0.750 0.750
Mg 0.250 0.250 0.250

(7)
DFT (PBE-GGA) results for crystalline Na6Ca4Ta2P6S3O36 at its relaxed geometry.

Properties
The crystal system is monoclinic.

Cell lengths 9.176, 9.196, 23.017 Å; angles 90.42, 90.00, 119.93 degrees
Sites, in units of the cell vectors:
Na 0.000 0.654 0.246
Na 0.654 0.654 0.746
Na 0.305 0.344 0.586
Na 0.664 0.948 0.581
Na 0.284 0.948 0.081
Na 0.039 0.344 0.086
Na 0.990 0.975 0.489
Na 0.985 0.975 0.989
Na 0.649 0.301 0.826
Na 0.651 0.301 0.326
Na 0.348 0.664 0.170
Na 0.316 0.664 0.670
Ca 0.003 0.011 0.351
Ca 0.008 0.011 0.851
Ca 0.999 0.998 0.656
Ca 0.999 0.998 0.156
Ca 0.665 0.330 0.689
Ca 0.665 0.330 0.189
Ca 0.336 0.667 0.014
Ca 0.331 0.667 0.514
Ta 0.675 0.345 0.973
Ta 0.669 0.345 0.473
Ta 0.329 0.665 0.322
Ta 0.336 0.665 0.822
P 0.302 0.987 0.252
P 0.011 0.316 0.250
P 0.305 0.316 0.750
P 0.684 0.987 0.752
P 0.672 0.627 0.582
P 0.955 0.627 0.082
P 0.630 0.662 0.918
P 0.034 0.374 0.921
P 0.343 0.970 0.922
P 0.626 0.970 0.422
P 0.341 0.374 0.421
P 0.032 0.662 0.418
S 0.686 0.700 0.254
S 0.014 0.700 0.754
S 0.952 0.329 0.579
S 0.380 0.051 0.578
S 0.671 0.051 0.078
S 0.377 0.329 0.079
O 0.199 0.999 0.300
O 0.797 0.783 0.303
O 0.981 0.195 0.299
O 0.214 0.195 0.799
O 0.985 0.783 0.803
O 0.799 0.999 0.800
O 0.737 0.939 0.693
O 0.218 0.259 0.690
O 0.047 0.796 0.700
O 0.749 0.796 0.200
O 0.042 0.259 0.190
O 0.202 0.939 0.193
O 0.872 0.341 0.632
O 0.476 0.129 0.631
O 0.661 0.533 0.637
O 0.872 0.533 0.137
O 0.653 0.129 0.131
O 0.469 0.341 0.132
O 0.475 0.323 0.027
O 0.837 0.513 0.027
O 0.678 0.157 0.026
O 0.479 0.157 0.526
O 0.676 0.513 0.527
O 0.847 0.323 0.527
O 0.554 0.682 0.973
O 0.118 0.443 0.979
O 0.325 0.884 0.980
O 0.559 0.884 0.480
O 0.325 0.443 0.479
O 0.128 0.682 0.473
O 0.127 0.634 0.364
O 0.496 0.861 0.371
O 0.363 0.502 0.370
O 0.139 0.502 0.870
O 0.366 0.861 0.871
O 0.508 0.634 0.864
O 0.991 0.799 0.408
O 0.800 0.001 0.411
O 0.202 0.199 0.410
O 0.997 0.199 0.910
O 0.201 0.001 0.911
O 0.808 0.799 0.908
O 0.959 0.170 0.578
O 0.217 0.048 0.578
O 0.828 0.802 0.577
O 0.975 0.802 0.077
O 0.831 0.048 0.078
O 0.211 0.170 0.078
O 0.653 0.134 0.749
O 0.492 0.366 0.750
O 0.866 0.530 0.748
O 0.664 0.530 0.248
O 0.874 0.366 0.250
O 0.481 0.134 0.249
O 0.632 0.487 0.923
O 0.855 0.370 0.922
O 0.516 0.147 0.924
O 0.631 0.147 0.424
O 0.516 0.370 0.422
O 0.855 0.487 0.423
O 0.348 0.473 0.076
O 0.130 0.639 0.078
O 0.523 0.882 0.075
O 0.359 0.882 0.575
O 0.509 0.639 0.578
O 0.125 0.473 0.576
O 0.318 0.821 0.266
O 0.514 0.682 0.264
O 0.181 0.493 0.265
O 0.312 0.493 0.765
O 0.168 0.682 0.764
O 0.503 0.821 0.766

(8)
DFT (PBE-GGA) results for crystalline BaRe2O9 at its relaxed geometry.

Properties
The crystal system is triclinic.

Cell lengths 7.521, 7.669, 15.789 Å; angles 89.66, 84.17, 89.87 degrees
Sites, in units of the cell vectors:
Ba 0.221 0.829 0.132
Ba 0.779 0.171 0.868
Ba 0.219 0.181 0.631
Ba 0.781 0.819 0.369
Re 0.700 0.863 0.649
Re 0.300 0.137 0.351
Re 0.762 0.694 0.988
Re 0.238 0.306 0.012
Re 0.284 0.872 0.853
Re 0.716 0.128 0.147
Re 0.236 0.697 0.509
Re 0.764 0.303 0.491
O 0.163 0.030 0.799
O 0.837 0.970 0.201
O 0.514 0.921 0.839
O 0.486 0.079 0.161
O 0.080 0.647 0.437
O 0.920 0.353 0.563
O 0.768 0.850 0.540
O 0.232 0.150 0.460
O 0.712 0.494 0.942
O 0.288 0.506 0.058
O 0.178 0.971 0.304
O 0.822 0.029 0.696
O 0.428 0.785 0.451
O 0.572 0.215 0.549
O 0.083 0.334 0.937
O 0.917 0.666 0.063
O 0.215 0.879 0.962
O 0.785 0.121 0.038
O 0.295 0.512 0.565
O 0.705 0.488 0.435
O 0.734 0.660 0.696
O 0.266 0.340 0.304
O 0.497 0.346 0.748
O 0.503 0.654 0.252
O 0.003 0.569 0.246
O 0.997 0.431 0.754
O 0.434 0.216 0.961
O 0.566 0.784 0.039
O 0.470 0.912 0.661
O 0.530 0.088 0.339
O 0.854 0.834 0.907
O 0.146 0.166 0.093
O 0.252 0.662 0.816
O 0.748 0.338 0.184
O 0.141 0.853 0.580
O 0.859 0.147 0.420

(9)
DFT (PBE-GGA) results for crystalline Y2SnAu2 at its relaxed geometry.

Properties
The crystal system is tetragonal.

Cell lengths 8.369, 8.369, 3.601 Å; angles 90.00, 90.00, 90.00 degrees
Sites, in units of the cell vectors:
Y 0.837 0.337 0.500
Y 0.163 0.663 0.500
Y 0.337 0.163 0.500
Y 0.663 0.837 0.500
Sn 0.000 0.000 0.500
Sn 0.500 0.500 0.500
Au 0.629 0.129 0.000
Au 0.371 0.871 0.000
Au 0.129 0.371 0.000
Au 0.871 0.629 0.000

(10)
DFT (PBE-GGA) results for crystalline UCo3 at its relaxed geometry.

Properties
The crystal system is trigonal.

Cell lengths 4.795, 4.795, 8.580 Å; angles 73.78, 73.78, 60.00 degrees
Sites, in units of the cell vectors:
U 0.859 0.859 0.422
U 0.141 0.141 0.578
U 0.000 0.000 0.000
Co 0.417 0.417 0.249
Co 0.916 0.417 0.249
Co 0.417 0.916 0.249
Co 0.583 0.583 0.751
Co 0.084 0.583 0.751
Co 0.583 0.084 0.751
Co 0.666 0.666 0.001
Co 0.334 0.334 0.999
Co 0.500 0.500 0.500

(11)
DFT (PBE-GGA) results for crystalline NaTiF4 at its relaxed geometry.

Properties
The crystal system is monoclinic.

Cell lengths 5.466, 7.689, 8.108 Å; angles 78.53, 90.00, 90.00 degrees
Sites, in units of the cell vectors:
Na 0.220 0.389 0.865
Na 0.720 0.111 0.135
Na 0.780 0.611 0.135
Na 0.280 0.889 0.865
Ti 0.743 0.201 0.670
Ti 0.243 0.299 0.330
Ti 0.257 0.799 0.330
Ti 0.757 0.701 0.670
F 0.477 0.624 0.811
F 0.977 0.876 0.189
F 0.523 0.376 0.189
F 0.023 0.124 0.811
F 0.957 0.688 0.872
F 0.457 0.812 0.128
F 0.043 0.312 0.128
F 0.543 0.188 0.872
F 0.856 0.450 0.670
F 0.356 0.050 0.330
F 0.144 0.550 0.330
F 0.644 0.950 0.670
F 0.438 0.293 0.539
F 0.938 0.207 0.461
F 0.562 0.707 0.461
F 0.062 0.793 0.539

(12)
DFT (PBE-GGA) results for crystalline TmZnGa at its relaxed geometry.

Properties
The crystal system is hexagonal.

Cell lengths 4.403, 4.403, 7.022 Å; angles 90.00, 90.00, 120.00 degrees
Sites, in units of the cell vectors:
Tm 0.000 0.000 0.500
Tm 0.000 0.000 0.000
Zn 0.333 0.667 0.750
Zn 0.667 0.333 0.250
Ga 0.333 0.667 0.250
Ga 0.667 0.333 0.750

| no. | total energy (eV/cell) |
| --- | --- |
| 1 | -329.6 |
| 2 | -0.9 |
| 3 | -49.1 |
| 4 | -52.8 |
| 5 | -55.5 |
| 6 | -9.1 |
| 7 | -789.4 |
| 8 | -363.6 |
| 9 | -53.2 |
| 10 | -99.8 |
| 11 | -142.8 |
| 12 | -20.8 |